The following is a GGA-PBE calculation of crystalline AlNi9B8 at its relaxed geometry, from the Materials Project database.

Lattice parameters (Å, degrees): 7.121 8.111 10.741 90.00 90.00 90.00
Space group Cmcm (No. 63)
Unique sites:
Al: 0.000 0.082 0.250
Ni: 0.000 0.000 0.000
Ni: 0.000 0.287 0.081
Ni: 0.191 0.432 0.614
Ni: 0.224 0.174 0.750
B: 0.000 0.220 0.620
B: 0.000 0.355 0.750
B: 0.000 0.430 0.250
B: 0.212 0.171 0.551

Summary:
Formation energy   -6.6 kcal/mol of atoms